No. 1
An optimized crystal structure of PrCuPb, computed with meta-GGA r2SCAN.

Cell: 4.6193 4.6193 8.0725 Å, 90.00 90.00 120.00°
Space group P6_3/mmc (No. 194)
One atom of each set of equivalent atoms:
Pr 0.0000 0.0000 0.0000
Cu 0.3333 0.6667 0.2500
Pb 0.3333 0.6667 0.7500

Properties
Formation enthalpy at 0 K   -481 meV per atom
VASP energy   -1.2002 Ha/atom

***

No. 2
An optimized crystal structure of YbCuPbSe3, computed with meta-GGA r2SCAN.

Cell: 4.015 13.534 10.426 Å, 90.00 90.00 90.00°
Space group Cmcm (No. 63)
One atom of each set of equivalent atoms:
Yb 0.000 0.000 0.000
Cu 0.000 0.470 0.250
Pb 0.000 0.243 0.750
Se 0.000 0.078 0.250
Se 0.000 0.362 0.063

Properties
Formation enthalpy at 0 K   -1169 meV per atom
VASP energy   -0.9408 Ha/atom

***

Which of these has the highest VASP energy?
YbCuPbSe3